1.
Density functional theory data (GGA-PBE) for CaAl2Si6O20 after structural relaxation.

Summary:
Crystal system ... monoclinic
E_form ... -2588.1 meV per atom
Energy relative to the lowest polymorph listed for this composition ... 0 meV/atom
Mass density ... 2.11 g/cm3

Cell: 14.1407 6.8749 10.1348 Å, 68.81 90.00 90.00°
Sites, in units of the cell vectors:
Ca  0.2162  0.9549  0.9266
Ca  0.7838  0.9549  0.4266
Al  0.0076  0.0012  0.5005
Al  0.9924  0.0012  0.0005
Al  0.3560  0.6058  0.1503
Al  0.6440  0.6058  0.6503
Si  0.1502  0.6581  0.4836
Si  0.8498  0.6581  0.9836
Si  0.0376  0.2913  0.6921
Si  0.9624  0.2913  0.1921
Si  0.1248  0.5918  0.1929
Si  0.8752  0.5918  0.6929
Si  0.4752  0.9755  0.9391
Si  0.5248  0.9755  0.4391
Si  0.3729  0.6420  0.4620
Si  0.6271  0.6420  0.9620
Si  0.4999  0.2606  0.1217
Si  0.5001  0.2606  0.6217
O  0.1025  0.8822  0.4529
O  0.8975  0.8822  0.9529
O  0.0445  0.1461  0.5986
O  0.9555  0.1461  0.0986
O  0.0787  0.8117  0.0886
O  0.9213  0.8117  0.5886
O  0.1121  0.4865  0.6338
O  0.8879  0.4865  0.1338
O  0.1242  0.5719  0.3572
O  0.8758  0.5719  0.8572
O  0.0692  0.3892  0.1839
O  0.9308  0.3892  0.6839
O  0.0653  0.1505  0.8556
O  0.9347  0.1505  0.3556
O  0.2636  0.6699  0.4986
O  0.7364  0.6699  0.9986
O  0.2316  0.6061  0.1289
O  0.7684  0.6061  0.6289
O  0.4315  0.8295  0.4885
O  0.5685  0.8295  0.9885
O  0.4826  0.1657  0.9979
O  0.5174  0.1657  0.4979
O  0.3796  0.8378  0.9998
O  0.6204  0.8378  0.4998
O  0.4101  0.4207  0.5789
O  0.5899  0.4207  0.0789
O  0.3867  0.6457  0.3037
O  0.6133  0.6457  0.8037
O  0.4055  0.3805  0.1390
O  0.5945  0.3805  0.6390
O  0.4686  0.0718  0.7668
O  0.5314  0.0718  0.2668
O  0.2494  0.0229  0.6778
O  0.7506  0.0229  0.1778
O  0.2356  0.1012  0.1157
O  0.7644  0.1012  0.6157
O  0.2846  0.3047  0.8403
O  0.7154  0.3047  0.3403
O  0.1537  0.6615  0.8685
O  0.8463  0.6615  0.3685


2.
Density functional theory data (GGA-PBE) for CaAl2Si2O8 after structural relaxation.

Summary:
Crystal system ... trigonal
E_form ... -3426.4 meV per atom
Energy relative to the lowest polymorph listed for this composition ... 0 meV/atom
Mass density ... 2.68 g/cm3

Cell: 5.1522 5.1522 14.9897 Å, 90.00 90.00 60.00°
Sites, in units of the cell vectors:
Ca  0.0000  0.0000  0.5000
Ca  0.0000  0.0000  0.0000
Al  0.6666  0.6667  0.6422
Al  0.3334  0.3333  0.3578
Al  0.6667  0.6667  0.1422
Al  0.3333  0.3333  0.8578
Si  0.3333  0.3333  0.6367
Si  0.6667  0.6667  0.3633
Si  0.3334  0.3333  0.1367
Si  0.6666  0.6667  0.8633
O  0.3772  0.0128  0.5976
O  0.0128  0.6100  0.5976
O  0.6100  0.3772  0.5976
O  0.6228  0.9872  0.4024
O  0.9872  0.3900  0.4024
O  0.3900  0.6228  0.4024
O  0.6100  0.0128  0.0976
O  0.0129  0.3772  0.0976
O  0.3772  0.6100  0.0976
O  0.3900  0.9872  0.9024
O  0.9871  0.6228  0.9024
O  0.6228  0.3900  0.9024
O  0.6666  0.6667  0.7568
O  0.3333  0.3333  0.7432
O  0.3334  0.3333  0.2432
O  0.6667  0.6667  0.2568


3.
Density functional theory data (GGA-PBE) for Ca2Al2SiO7 after structural relaxation.

Summary:
Crystal system ... monoclinic
E_form ... -3464.1 meV per atom
Mass density ... 2.95 g/cm3

Cell: 7.7578 5.1029 7.7850 Å, 89.93 90.00 90.00°
Sites, in units of the cell vectors:
Ca  0.3423  0.5162  0.9254
Ca  0.8423  0.4838  0.0746
Ca  0.6650  0.5145  0.6043
Ca  0.1650  0.4855  0.3957
Al  0.5005  0.0003  0.2508
Al  0.0005  0.9997  0.7492
Al  0.1426  0.9598  0.1070
Al  0.6426  0.0402  0.8930
Si  0.8563  0.9521  0.3941
Si  0.3563  0.0479  0.6059
O  0.4908  0.1794  0.7457
O  0.9908  0.8206  0.2543
O  0.4096  0.1903  0.4210
O  0.9096  0.8097  0.5790
O  0.5884  0.1982  0.0884
O  0.0884  0.8018  0.9116
O  0.3362  0.7985  0.1693
O  0.8362  0.2015  0.8307
O  0.6690  0.8133  0.3475
O  0.1690  0.1867  0.6525
O  0.1413  0.2991  0.1135
O  0.6413  0.7009  0.8865
O  0.8580  0.2685  0.3974
O  0.3580  0.7315  0.6026


4.
Density functional theory data (GGA-PBE) for CaAl2Si2O8 after structural relaxation.

Summary:
Crystal system ... triclinic
E_form ... -3407.7 meV per atom
Energy relative to the lowest polymorph listed for this composition ... 19 meV/atom
Mass density ... 2.64 g/cm3

Cell: 7.1849 7.6537 7.7788 Å, 114.35 107.27 100.14°
Sites, in units of the cell vectors:
Ca  0.8903  0.2427  0.2044
Ca  0.1097  0.7573  0.7956
Al  0.6846  0.9275  0.6973
Al  0.3154  0.0725  0.3027
Al  0.7872  0.6549  0.3259
Al  0.2128  0.3451  0.6741
Si  0.6381  0.7052  0.9385
Si  0.3619  0.2948  0.0615
Si  0.7656  0.3243  0.6862
Si  0.2344  0.6757  0.3138
O  0.0229  0.6025  0.3469
O  0.9771  0.3975  0.6531
O  0.6160  0.3949  0.1878
O  0.3840  0.6051  0.8122
O  0.4208  0.8126  0.5405
O  0.5792  0.1874  0.4595
O  0.7151  0.7723  0.1811
O  0.2849  0.2277  0.8189
O  0.7457  0.5461  0.8242
O  0.2543  0.4539  0.1758
O  0.7869  0.1970  0.8116
O  0.2131  0.8030  0.1884
O  0.7242  0.9140  0.9297
O  0.2758  0.0860  0.0703
O  0.8300  0.7950  0.5850
O  0.1700  0.2050  0.4150


5.
Density functional theory data (GGA-PBE) for SrCaAl4Si4O20 after structural relaxation.

Summary:
Crystal system ... monoclinic
E_form ... -2691.4 meV per atom
Mass density ... 3.18 g/cm3

Cell: 13.1138 5.3530 5.3935 Å, 66.91 90.00 90.00°
Sites, in units of the cell vectors:
Sr  0.5000  0.6816  0.6622
Ca  0.0000  0.3312  0.3419
Al  0.7523  0.0013  0.4988
Al  0.2477  0.0013  0.4988
Al  0.7518  0.4991  0.0010
Al  0.2482  0.4991  0.0010
Si  0.8813  0.9847  0.9742
Si  0.3783  0.0157  0.0263
Si  0.6217  0.0157  0.0263
Si  0.1187  0.9847  0.9742
O  0.8112  0.6493  0.6526
O  0.3089  0.3502  0.3474
O  0.6911  0.3502  0.3474
O  0.1888  0.6493  0.6526
O  0.5000  0.3231  0.4296
O  0.0000  0.6586  0.5633
O  0.8666  0.6541  0.0989
O  0.3614  0.3439  0.9016
O  0.6386  0.3439  0.9016
O  0.1334  0.6541  0.0989
O  0.5000  0.9530  0.9808
O  0.0000  0.0559  0.0322
O  0.8190  0.1406  0.1391
O  0.3177  0.8597  0.8593
O  0.6823  0.8597  0.8593
O  0.1810  0.1406  0.1391
O  0.1368  0.1145  0.6482
O  0.6440  0.8844  0.3487
O  0.3560  0.8844  0.3487
O  0.8632  0.1145  0.6482


6.
Density functional theory data (GGA-PBE) for SrCa4Al10Si10O50 after structural relaxation.

Summary:
Crystal system ... triclinic
E_form ... -2633.7 meV per atom
Mass density ... 3.08 g/cm3

Cell: 8.9313 14.1418 15.3897 Å, 73.13 73.34 71.64°
Sites, in units of the cell vectors:
Sr  0.4303  0.2500  0.5478
Sr  0.8303  0.2500  0.7477
Ca  0.3626  0.7499  0.8515
Ca  0.7627  0.7499  0.0514
Ca  0.1628  0.7500  0.2512
Ca  0.5628  0.7500  0.4511
Ca  0.9627  0.7499  0.6513
Ca  0.2373  0.2501  0.9489
Ca  0.6371  0.2501  0.1486
Ca  0.0377  0.2501  0.3480
Al  0.5994  0.5016  0.8003
Al  0.1987  0.5018  0.6000
Al  0.7998  0.5004  0.3996
Al  0.4001  0.5000  0.1998
Al  0.0003  0.5001  0.0001
Al  0.0001  0.9996  0.4997
Al  0.6002  0.0000  0.2998
Al  0.2004  0.9999  0.1001
Al  0.8006  0.9984  0.9010
Al  0.4002  0.9981  0.7007
Al  0.0994  0.5004  0.8003
Al  0.4999  0.5000  0.0002
Al  0.9004  0.5001  0.1998
Al  0.3000  0.5017  0.3990
Al  0.6989  0.5021  0.5992
Al  0.2997  0.9996  0.9005
Al  0.6999  0.0000  0.1002
Al  0.1006  0.9999  0.2999
Al  0.5014  0.9982  0.4997
Al  0.9006  0.9980  0.7000
Si  0.4286  0.3706  0.7286
Si  0.0301  0.3706  0.5255
Si  0.6325  0.3697  0.3256
Si  0.2313  0.3689  0.1273
Si  0.8308  0.3697  0.9288
Si  0.2738  0.8686  0.6249
Si  0.8738  0.8688  0.4249
Si  0.4737  0.8691  0.2250
Si  0.0736  0.8686  0.0253
Si  0.6736  0.8685  0.8253
Si  0.3685  0.6314  0.6728
Si  0.9685  0.6315  0.4723
Si  0.5687  0.6313  0.2724
Si  0.1690  0.6309  0.0727
Si  0.7687  0.6311  0.8728
Si  0.5250  0.1295  0.7769
Si  0.1266  0.1294  0.5737
Si  0.7283  0.1303  0.3735
Si  0.3264  0.1311  0.1749
Si  0.9266  0.1303  0.9767
O  0.9926  0.1076  0.6694
O  0.5932  0.1086  0.4687
O  0.1880  0.1134  0.2700
O  0.7877  0.1133  0.0713
O  0.3873  0.1124  0.8720
O  0.9211  0.6133  0.7846
O  0.5205  0.6138  0.5846
O  0.1211  0.6138  0.3844
O  0.7217  0.6135  0.1845
O  0.3214  0.6134  0.9845
O  0.8116  0.8863  0.7301
O  0.4122  0.8862  0.5299
O  0.0126  0.8866  0.3298
O  0.6122  0.8867  0.1299
O  0.2117  0.8867  0.9300
O  0.8787  0.3924  0.6124
O  0.4800  0.3914  0.4121
O  0.0787  0.3866  0.2154
O  0.6785  0.3866  0.0167
O  0.2772  0.3876  0.8170
O  0.0729  0.4409  0.7115
O  0.6728  0.4409  0.5116
O  0.2731  0.4407  0.3115
O  0.8733  0.4406  0.1115
O  0.4731  0.4407  0.9115
O  0.5743  0.9398  0.6124
O  0.1748  0.9403  0.4121
O  0.7744  0.9406  0.2122
O  0.3746  0.9403  0.0125
O  0.9743  0.9398  0.8125
O  0.7262  0.5601  0.6884
O  0.3262  0.5601  0.4883
O  0.9271  0.5597  0.2882
O  0.5269  0.5594  0.0884
O  0.1268  0.5597  0.8886
O  0.2256  0.0591  0.7878
O  0.8256  0.0591  0.5879
O  0.4258  0.0593  0.3878
O  0.0259  0.0594  0.1878
O  0.6258  0.0593  0.9878
O  0.2552  0.7500  0.6477
O  0.8554  0.7502  0.4477
O  0.4553  0.7503  0.2477
O  0.0556  0.7498  0.0476
O  0.6556  0.7499  0.8476
O  0.5359  0.2500  0.7519
O  0.1350  0.2500  0.5535
O  0.7429  0.2500  0.3530
O  0.3448  0.2500  0.1523
O  0.9438  0.2500  0.9517
O  0.5660  0.4326  0.7142
O  0.1672  0.4325  0.5124
O  0.7668  0.4336  0.3122
O  0.3647  0.4338  0.1131
O  0.9656  0.4336  0.9140
O  0.0883  0.9326  0.6128
O  0.6882  0.9325  0.4128
O  0.2881  0.9338  0.2134
O  0.8875  0.9326  0.0144
O  0.4875  0.9327  0.8143
O  0.2335  0.5674  0.6874
O  0.8343  0.5675  0.4858
O  0.4342  0.5676  0.2858
O  0.0350  0.5663  0.0868
O  0.6336  0.5674  0.8874
O  0.7121  0.0674  0.7872
O  0.3132  0.0674  0.5854
O  0.9137  0.0663  0.3856
O  0.5117  0.0662  0.1866
O  0.1125  0.0663  0.9875
O  0.7662  0.3886  0.8345
O  0.3652  0.3893  0.6339
O  0.9677  0.3849  0.4314
O  0.5683  0.3843  0.2320
O  0.1674  0.3843  0.0332
O  0.9248  0.8845  0.5130
O  0.5251  0.8844  0.3132
O  0.1254  0.8843  0.1132
O  0.7252  0.8840  0.9132
O  0.3247  0.8841  0.7131
O  0.0321  0.6158  0.5668
O  0.6323  0.6155  0.3668
O  0.2326  0.6156  0.1669
O  0.8329  0.6157  0.9669
O  0.4323  0.6160  0.7669
O  0.8770  0.1114  0.8899
O  0.4766  0.1107  0.6897
O  0.0756  0.1150  0.4853
O  0.6758  0.1157  0.2857
O  0.2748  0.1157  0.0869
O  0.6928  0.7499  0.6360
O  0.2928  0.7499  0.4360
O  0.8928  0.7499  0.2360
O  0.4927  0.7500  0.0360
O  0.0928  0.7499  0.8360
O  0.1184  0.2501  0.7646
O  0.7181  0.2501  0.5656
O  0.3070  0.2501  0.3649
O  0.9073  0.2501  0.1641
O  0.5074  0.2501  0.9638


7.
Density functional theory data (GGA-PBE) for Ca10Ta3Ti4Al3Si10O50 after structural relaxation.

Summary:
Crystal system ... triclinic
E_form ... -3453.5 meV per atom
Mass density ... 4.02 g/cm3

Cell: 5.4800 7.1301 25.1827 Å, 84.50 85.78 76.03°
Sites, in units of the cell vectors:
Ca  0.1451  0.9901  0.7667
Ca  0.5463  0.7910  0.5680
Ca  0.9472  0.5889  0.3675
Ca  0.3417  0.4101  0.1669
Ca  0.0528  0.4111  0.6325
Ca  0.7379  0.2173  0.9651
Ca  0.4537  0.2090  0.4320
Ca  0.8549  0.0099  0.2333
Ca  0.2621  0.7827  0.0349
Ca  0.6583  0.5899  0.8331
Ta  0.5976  0.2011  0.6996
Ta  0.0000  0.0000  0.5000
Ta  0.4024  0.7989  0.3004
Ti  0.8036  0.5992  0.1009
Ti  0.7997  0.1021  0.0988
Ti  0.1964  0.4008  0.8991
Ti  0.2003  0.8979  0.9012
Al  0.5991  0.6994  0.7007
Al  0.0000  0.5000  0.5000
Al  0.4009  0.3006  0.2993
Si  0.1472  0.5209  0.7635
Si  0.5477  0.3233  0.5623
Si  0.9487  0.1226  0.3623
Si  0.0513  0.8774  0.6377
Si  0.3532  0.9152  0.1628
Si  0.4523  0.6767  0.4377
Si  0.7535  0.7116  0.9645
Si  0.8528  0.4791  0.2365
Si  0.2465  0.2884  0.0355
Si  0.6468  0.0848  0.8372
O  0.3246  0.7364  0.6517
O  0.2406  0.3394  0.7234
O  0.5026  0.9580  0.7131
O  0.7254  0.5350  0.4515
O  0.4955  0.2241  0.6234
O  0.3644  0.6461  0.7619
O  0.6409  0.1401  0.5232
O  0.8332  0.7539  0.6386
O  0.7036  0.1792  0.7761
O  0.9017  0.7582  0.5127
O  0.1268  0.3385  0.2508
O  0.6963  0.4422  0.6869
O  0.8971  0.0245  0.4235
O  0.7661  0.4464  0.5618
O  0.0420  0.9393  0.3232
O  0.9580  0.0607  0.6768
O  0.2339  0.5536  0.4382
O  0.1029  0.9755  0.5765
O  0.3037  0.5578  0.3131
O  0.5204  0.1414  0.0496
O  0.8732  0.6615  0.7492
O  0.0983  0.2418  0.4873
O  0.2964  0.8208  0.2239
O  0.1668  0.2461  0.3614
O  0.4419  0.7374  0.1231
O  0.3591  0.8599  0.4768
O  0.6356  0.3539  0.2381
O  0.5045  0.7759  0.3766
O  0.7033  0.3625  0.1138
O  0.9195  0.9384  0.8511
O  0.2746  0.4650  0.5485
O  0.4974  0.0420  0.2869
O  0.7001  0.6146  0.0249
O  0.5643  0.0459  0.1625
O  0.8402  0.5378  0.9231
O  0.7594  0.6606  0.2766
O  0.0360  0.1559  0.0367
O  0.9017  0.5789  0.1757
O  0.1032  0.1638  0.9136
O  0.6754  0.2636  0.3483
O  0.8968  0.8362  0.0864
O  0.0983  0.4211  0.8243
O  0.9640  0.8441  0.9633
O  0.1598  0.4622  0.0769
O  0.4357  0.9541  0.8375
O  0.2999  0.3854  0.9751
O  0.0805  0.0616  0.1489
O  0.2967  0.6375  0.8862
O  0.5581  0.2626  0.8769
O  0.4796  0.8586  0.9504